# 1
# r2SCAN EuIn4, relaxed
# Energy relative to the elements ... -0.408 eV per atom
data_EuIn4
_symmetry_space_group_name_H-M 'C 1 2/m 1'
_symmetry_Int_Tables_number 12
_cell_length_a 12.498
_cell_length_b 4.944
_cell_length_c 9.786
_cell_angle_alpha 90.00
_cell_angle_beta 112.78
_cell_angle_gamma 90.00
loop_
_symmetry_equiv_pos_as_xyz
'x,y,z'
'-x,-y,-z'
'-x,y,-z'
'x,-y,z'
'x+1/2,y+1/2,z'
'-x+1/2,-y+1/2,-z'
'-x+1/2,y+1/2,-z'
'x+1/2,-y+1/2,z'
loop_
_atom_site_label
_atom_site_fract_x
_atom_site_fract_y
_atom_site_fract_z
_atom_site_occupancy
Eu1 0.148 0.000 0.202 1
In1 0.065 0.500 0.405 1
In2 0.071 0.500 0.914 1
In3 0.173 0.000 0.558 1
In4 0.173 0.000 0.860 1

# 2
# r2SCAN Y3TlF10, relaxed
# Energy relative to the elements ... -4.115 eV per atom
data_Y3TlF10
_symmetry_space_group_name_H-M 'P 63 m c'
_symmetry_Int_Tables_number 186
_symmetry_space_group_name_Hall 'P 6c -2c'
_cell_length_a 8.1935
_cell_length_b 8.1935
_cell_length_c 13.3701
_cell_angle_alpha 90.00
_cell_angle_beta 90.00
_cell_angle_gamma 120.00
loop_
_atom_site_label
_atom_site_fract_x
_atom_site_fract_y
_atom_site_fract_z
_atom_site_occupancy
Y1 0.0118 0.5059 0.0000 1
Y2 0.1738 0.3477 0.2403 1
Tl1 0.0000 0.0000 0.4926 1
Tl2 0.3333 0.6667 0.7466 1
F1 0.0026 0.3388 0.3694 1
F2 0.0419 0.5209 0.1745 1
F3 0.1100 0.2200 0.7062 1
F4 0.1835 0.3671 0.0639 1
F5 0.2222 0.4444 0.5366 1
F6 0.3333 0.6667 0.2897 1
F7 0.3333 0.6667 0.9564 1